No. 1
The following is a GGA+U calculation of a relaxed structure of WO5, from the Materials Project database.

The total magnetization is 1.00 μB/f.u. Its distance to the lowest polymorph of the same formula is 0.361 eV per atom.

Cell: 4.0018 8.1812 12.4766 Å, 73.18 90.00 90.00°
Closest atoms and distances in Å follow each position.
Atoms (fractional coordinates):
O 0.9399 0.0610 0.0318  3 W 2.05-2.10
O 0.0143 0.8135 0.4281  1 W 1.94
O 0.7602 0.6802 0.8982  1 O 1.35
O 0.9290 0.8357 0.6011  1 O 1.31
O 0.9574 0.6872 0.0791  1 W 2.06
O 0.4399 0.9390 0.9682  3 W 2.05-2.10
O 0.4469 0.9812 0.2014  1 W 1.74
O 0.0660 0.4325 0.4726  3 W 2.01-2.15
O 0.2501 0.8175 0.6212  1 O 1.31
O 0.5976 0.3219 0.1044  1 O 1.35
O 0.5179 0.4988 0.3043  1 W 1.75
O 0.0179 0.5012 0.6957  1 W 1.75
O 0.5143 0.1865 0.5719  1 W 1.94
O 0.2602 0.3198 0.1018  1 O 1.35
O 0.0976 0.6781 0.8956  1 O 1.35
O 0.7501 0.1825 0.3788  1 O 1.31
O 0.5660 0.5675 0.5274  3 W 2.01-2.15
O 0.4290 0.1643 0.3989  1 O 1.31
O 0.9469 0.0188 0.7986  1 W 1.74
O 0.4574 0.3128 0.9209  1 W 2.06
W 0.9365 0.8937 0.9374  1 O 1.74
W 0.4365 0.1063 0.0626  1 O 1.74
W 0.5840 0.3860 0.4453  2 O 1.75-1.94
W 0.0840 0.6140 0.5547  2 O 1.75-1.94

***

No. 2
The following is a GGA+U calculation of a relaxed structure of WO2, from the Materials Project database.

The total magnetization is 1.71 μB/f.u. The uncorrected energy comes out at -7.2085 eV per atom.

Cell: 11.3625 12.2058 11.1938 Å, 92.18 94.40 88.77°
Closest atoms and distances in Å follow each position.
Atoms (fractional coordinates):
O 0.3101 0.6290 0.3043  3 W 2.10-2.21
O 0.4162 0.2674 0.3295  2 W 1.91-2.03
O 0.8893 0.9846 0.9418  3 W 2.02-2.16
O 0.3312 0.8547 0.2935  3 W 1.97-2.18
O 0.2386 0.5018 0.0609  3 W 1.98-2.11
O 0.5951 0.6679 0.8049  2 W 1.87-1.95
O 0.1532 0.5007 0.7963  3 W 2.02-2.24
O 0.4378 0.5525 0.9491  1 W 1.83
O 0.0289 0.5148 0.0438  3 W 2.00-2.15
O 0.8794 0.5420 0.5591  2 W 1.90-2.07
O 0.1151 0.5142 0.5470  2 W 1.96-1.99
O 0.2860 0.4534 0.4171  2 W 1.95-1.97
O 0.3189 0.1269 0.5646  2 W 1.91-2.04
O 0.7390 0.1787 0.8414  1 W 1.81
O 0.0832 0.1416 0.2827  2 W 1.91-1.95
O 0.0048 0.3143 0.1446  2 W 1.85-2.03
O 0.9564 0.0343 0.4834  4 W 2.14-2.23
O 0.8267 0.6016 0.1168  3 W 2.01-2.12
O 0.0314 0.8467 0.0506  3 W 2.04-2.17
O 0.7593 0.1931 0.5966  2 W 1.99
O 0.0332 0.7619 0.6207  2 W 1.98-2.13
O 0.8249 0.8202 0.2269  3 W 2.06-2.18
O 0.4442 0.3013 0.9944  2 W 1.94-1.98
O 0.6772 0.5181 0.9684  3 W 2.07-2.14
O 0.5266 0.0601 0.3161  3 W 2.04-2.23
O 0.5895 0.2318 0.1838  2 W 1.82-2.03
O 0.0844 0.6813 0.2839  3 W 2.04-2.17
O 0.5592 0.0880 0.9658  2 W 1.90-2.02
O 0.8523 0.0532 0.2745  3 W 2.03-2.10
O 0.1174 0.0822 0.9137  1 W 1.74
O 0.4981 0.1846 0.7625  2 W 1.93-1.98
O 0.9563 0.0871 0.7014  2 W 1.91-2.04
O 0.4961 0.0042 0.5646  2 W 2.00-2.22
O 0.1017 0.9207 0.3487  1 W 1.88
O 0.7108 0.7045 0.5615  3 W 1.93-2.15
O 0.6827 0.8953 0.0004  3 W 2.03-2.26
O 0.1879 0.7098 0.8217  2 W 1.95-2.01
O 0.3806 0.1345 0.1012  3 W 2.04-2.26
O 0.2712 0.3554 0.6483  2 W 1.90-1.93
O 0.6602 0.8411 0.3681  4 W 2.21-2.27
O 0.5664 0.6562 0.1939  3 W 2.09-2.26
O 0.9600 0.6410 0.8846  3 W 2.01-2.19
O 0.0941 0.1835 0.5233  2 W 1.94-1.98
O 0.5147 0.2795 0.5464  3 W 2.04-2.17
O 0.7759 0.1400 0.0895  3 W 2.04-2.11
O 0.1718 0.9777 0.5997  2 W 1.99-2.09
O 0.6820 0.9577 0.7826  2 W 1.95-2.08
O 0.6665 0.4882 0.4368  1 W 1.86
O 0.9877 0.5101 0.3395  3 W 2.08-2.19
O 0.8664 0.4058 0.8749  1 W 1.75
O 0.2757 0.2267 0.8311  2 W 1.95-1.98
O 0.3652 0.0099 0.8040  1 W 1.81
O 0.1104 0.3208 0.9337  1 W 1.78
O 0.2453 0.7091 0.0723  3 W 2.00-2.20
O 0.2202 0.6775 0.5091  3 W 1.99-2.14
O 0.4954 0.4444 0.1807  1 W 1.91
O 0.2614 0.3187 0.1567  1 W 1.84
O 0.8445 0.8753 0.5690  3 W 2.07-2.20
O 0.3581 0.8448 0.6026  1 W 1.83
O 0.0136 0.3035 0.6928  2 W 1.84-2.02
O 0.7639 0.4018 0.2342  2 W 1.97-2.03
O 0.4400 0.5233 0.6702  2 W 1.97-2.02
O 0.6197 0.4003 0.7597  2 W 1.92-1.96
O 0.2132 0.9679 0.1243  3 W 1.96-2.17
O 0.8819 0.3136 0.4588  2 W 1.95-2.02
O 0.3013 0.0665 0.3486  3 W 2.01-2.13
O 0.4819 0.9083 0.1337  2 W 1.86-2.03
O 0.5064 0.7334 0.4770  2 W 1.91-2.12
W 0.3427 0.7580 0.4313  4 O 1.91-2.10
W 0.8387 0.9210 0.3848  5 O 2.08-2.26
W 0.0000 0.9447 0.6423  3 O 1.91-2.09
W 0.6530 0.8614 0.1719  4 O 2.03-2.21
W 0.8218 0.4603 0.4002  4 O 1.86-2.07
W 0.1435 0.6175 0.9552  6 O 2.00-2.24
W 0.4164 0.1582 0.9085  4 O 1.90-1.98
W 0.1586 0.5606 0.3877  5 O 1.95-2.08
W 0.1345 0.0597 0.4200  3 O 1.88-1.94
W 0.4456 0.1456 0.4474  6 O 2.03-2.25
W 0.4435 0.2964 0.1676  4 O 1.82-1.94
W 0.6356 0.2475 0.7018  4 O 1.93-2.07
W 0.1604 0.3370 0.7646  5 O 1.84-2.04
W 0.8806 0.6976 0.5611  3 O 1.90-1.98
W 0.1285 0.3817 0.0806  4 O 1.78-1.98
W 0.6450 0.6576 0.3817  5 O 2.14-2.26
W 0.9407 0.1656 0.1780  4 O 1.95-2.10
W 0.1608 0.8171 0.1997  6 O 2.17-2.19
W 0.3932 0.4047 0.5527  4 O 1.93-2.04
W 0.6739 0.5214 0.1531  4 O 1.97-2.09
W 0.6147 0.8575 0.5623  4 O 2.12-2.27
W 0.8621 0.5299 0.9589  1 O 1.75
W 0.9060 0.8104 0.9045  3 O 2.12-2.16
W 0.3702 0.9999 0.2017  4 O 1.86-2.04
W 0.7289 0.0592 0.9308  3 O 1.81-2.02
W 0.1497 0.6295 0.6707  5 O 1.95-2.15
W 0.3445 0.9913 0.6425  5 O 1.81-2.00
W 0.3846 0.5928 0.1349  6 O 2.11-2.26
W 0.5364 0.5222 0.8297  4 O 1.83-2.02
W 0.6803 0.0940 0.2339  4 O 2.03-2.11
W 0.0560 0.0091 0.0237  1 O 1.74
W 0.8983 0.6630 0.2863  4 O 2.12-2.19
W 0.6461 0.8122 0.8334  2 O 1.87-1.95
W 0.9303 0.1995 0.5709  5 O 1.95-2.04

***

No. 3
The following is a GGA+U calculation of a relaxed structure of WO3, from the Materials Project database.

The uncorrected energy comes out at -7.5065 eV per atom.

Cell: 7.5073 7.5073 7.7275 Å, 90.00 90.00 120.00°
Closest atoms and distances in Å follow each position.
Atoms (fractional coordinates):
O 0.7839 0.2098 0.2510  2 W 1.88-2.01
O 0.4260 0.2161 0.2510  2 W 1.88-2.01
O 0.5014 0.0000 0.0029  2 W 1.87-2.00
O 0.0000 0.5014 0.0029  2 W 1.87-2.00
O 0.4986 0.0000 0.5029  2 W 1.87-2.00
O 0.4986 0.4986 0.0029  2 W 1.87-2.00
O 0.5740 0.7839 0.7510  2 W 1.88-2.01
O 0.2098 0.4260 0.7510  2 W 1.88-2.01
O 0.2161 0.7902 0.7510  2 W 1.88-2.01
O 0.4260 0.2098 0.7510  2 W 1.88-2.01
O 0.5740 0.7902 0.2510  2 W 1.88-2.01
O 0.7902 0.5740 0.2510  2 W 1.88-2.01
O 0.2098 0.7839 0.2510  2 W 1.88-2.01
O 0.7839 0.5740 0.7510  2 W 1.88-2.01
O 0.7902 0.2161 0.7510  2 W 1.88-2.01
O 0.5014 0.5014 0.5029  2 W 1.87-2.00
O 0.2161 0.4260 0.2510  2 W 1.88-2.01
O 0.0000 0.4986 0.5029  2 W 1.87-2.00
W 0.4832 0.0000 0.2610  6 O 1.87-2.01
W 0.5168 0.5168 0.2610  6 O 1.87-2.01
W 0.0000 0.5168 0.7610  6 O 1.87-2.01
W 0.0000 0.4832 0.2610  6 O 1.87-2.01
W 0.5168 0.0000 0.7610  6 O 1.87-2.01
W 0.4832 0.4832 0.7610  6 O 1.87-2.01

***

No. 4
The following is a GGA+U calculation of a relaxed structure of WO3, from the Materials Project database.

The total magnetization is 0.00 μB/f.u. The uncorrected energy comes out at -7.5095 eV per atom.

Cell: 7.6802 7.7189 7.7510 Å, 89.82 90.00 90.00°
Closest atoms and distances in Å follow each position.
Atoms (fractional coordinates):
O 0.0011 0.9874 0.2676  2 W 1.90-1.97
O 0.9989 0.0126 0.7324  2 W 1.90-1.97
O 0.2628 0.2464 0.7544  2 W 1.88-2.00
O 0.2370 0.7465 0.7454  2 W 1.87-2.00
O 0.4990 0.5131 0.7337  2 W 1.90-1.96
O 0.7628 0.7536 0.7456  2 W 1.88-2.00
O 0.7674 0.9989 0.0032  2 W 1.85-2.04
O 0.7337 0.4989 0.9966  2 W 1.85-2.03
O 0.0010 0.5131 0.2337  2 W 1.90-1.96
O 0.9990 0.4869 0.7663  2 W 1.90-1.96
O 0.2372 0.2464 0.2544  2 W 1.88-2.00
O 0.4989 0.9874 0.7676  2 W 1.90-1.97
O 0.2674 0.0011 0.4968  2 W 1.85-2.04
O 0.7372 0.7536 0.2456  2 W 1.88-2.00
O 0.5010 0.4869 0.2663  2 W 1.90-1.96
O 0.7663 0.4989 0.4966  2 W 1.85-2.03
O 0.2326 0.0011 0.9968  2 W 1.85-2.04
O 0.5011 0.0126 0.2324  2 W 1.90-1.97
O 0.2337 0.5011 0.5034  2 W 1.85-2.03
O 0.2630 0.7465 0.2454  2 W 1.87-2.00
O 0.2663 0.5011 0.0034  2 W 1.85-2.03
O 0.7370 0.2535 0.7546  2 W 1.87-2.00
O 0.7326 0.9989 0.5032  2 W 1.85-2.04
O 0.7630 0.2535 0.2546  2 W 1.87-2.00
W 0.2449 0.9891 0.7348  6 O 1.85-2.04
W 0.7531 0.5114 0.2347  6 O 1.85-2.03
W 0.2531 0.4886 0.2653  6 O 1.85-2.03
W 0.7449 0.0109 0.7652  6 O 1.85-2.04
W 0.2551 0.9891 0.2348  6 O 1.85-2.04
W 0.7551 0.0109 0.2652  6 O 1.85-2.04
W 0.7469 0.5114 0.7347  6 O 1.85-2.03
W 0.2469 0.4886 0.7653  6 O 1.85-2.03

***

No. 5
The following is a GGA+U calculation of a relaxed structure of WO3, from the Materials Project database.

The calculation puts the piezoelectric modulus e_max at 0.1 C/m². The uncorrected energy comes out at -7.5100 eV per atom.

Cell: 7.7044 7.7044 3.8986 Å, 90.00 90.00 90.00°
Closest atoms and distances in Å follow each position.
Atoms (fractional coordinates):
O 0.0042 0.7498 0.9989  2 W 1.89-1.98
O 0.2498 0.5042 0.9989  2 W 1.89-1.98
O 0.5042 0.7502 0.0011  2 W 1.89-1.98
O 0.7554 0.7446 0.4923  2 W 1.84-2.06
O 0.7498 0.9958 0.0011  2 W 1.89-1.98
O 0.7502 0.4958 0.9989  2 W 1.89-1.98
O 0.7446 0.2446 0.5077  2 W 1.84-2.06
O 0.2502 0.0042 0.0011  2 W 1.89-1.98
O 0.9958 0.2502 0.9989  2 W 1.89-1.98
O 0.2554 0.7554 0.5077  2 W 1.84-2.06
O 0.4958 0.2498 0.0011  2 W 1.89-1.98
O 0.2446 0.2554 0.4923  2 W 1.84-2.06
W 0.2598 0.7598 0.0359  6 O 1.84-2.06
W 0.7598 0.7402 0.9641  6 O 1.84-2.06
W 0.7402 0.2402 0.0359  6 O 1.84-2.06
W 0.2402 0.2598 0.9641  6 O 1.84-2.06